{
  "formula": "Li3V2P4H2O16",
  "functional": "GGA+U",
  "state": "optimized geometry",
  "polymorph_energy_ev_per_atom": 0.064,
  "formation_energy_ev_per_atom": -2.53,
  "corrected_energy_ev_per_cell": -599.76,
  "total_energy_ev_per_atom": -6.87,
  "lattice_angstrom": [[-2.9974, -1.8585, -7.0540], [7.3604, -2.0770, -2.5932], [-2.9445, -13.2898, 2.0383]],
  "species": ["O", "O", "O", "O", "O", "O", "O", "O", "O", "O", "O", "O", "O", "O", "O", "O", "O", "O", "O", "O", "O", "O", "O", "O", "O", "O", "O", "O", "O", "O", "O", "O", "O", "O", "O", "O", "O", "O", "O", "O", "O", "O", "O", "O", "O", "O", "O", "O", "H", "H", "H", "H", "H", "H", "P", "P", "P", "P", "P", "P", "P", "P", "P", "P", "P", "P", "V", "V", "V", "V", "V", "V", "Li", "Li", "Li", "Li", "Li", "Li", "Li", "Li", "Li"],
  "fractional_positions": [[0.5506, 0.8266, 0.7636], [0.0966, 0.0484, 0.2366], [0.8872, 0.9540, 0.7592], [0.6155, 0.4449, 0.9373], [0.7804, 0.0614, 0.2705], [0.2100, 0.8151, 0.0986], [0.1302, 0.0442, 0.9355], [0.0412, 0.8308, 0.6016], [0.2810, 0.4389, 0.2738], [0.9324, 0.4464, 0.9066], [0.5490, 0.6763, 0.5997], [0.2168, 0.9399, 0.7275], [0.2921, 0.3157, 0.9007], [0.2743, 0.4584, 0.5680], [0.9573, 0.4552, 0.6035], [0.8767, 0.6740, 0.2653], [0.7185, 0.8281, 0.9320], [0.3707, 0.5431, 0.0641], [0.6119, 0.4542, 0.2408], [0.7825, 0.3276, 0.0684], [0.3983, 0.5515, 0.7600], [0.3814, 0.6802, 0.4344], [0.7620, 0.0524, 0.5733], [0.5672, 0.9464, 0.0936], [0.1225, 0.1858, 0.5681], [0.2897, 0.1695, 0.0655], [0.0387, 0.6838, 0.7675], [0.0555, 0.5432, 0.0957], [0.4452, 0.0424, 0.9047], [0.7163, 0.5587, 0.7301], [0.2108, 0.6709, 0.9345], [0.7694, 0.1708, 0.9119], [0.4473, 0.0592, 0.6064], [0.5511, 0.9451, 0.3977], [0.0498, 0.5654, 0.3938], [0.8762, 0.8208, 0.4308], [0.7201, 0.5532, 0.4254], [0.9482, 0.3249, 0.2342], [0.7307, 0.6709, 0.0888], [0.4601, 0.3315, 0.3996], [0.6191, 0.1772, 0.7354], [0.8836, 0.9456, 0.0637], [0.9525, 0.1755, 0.3984], [0.6001, 0.3292, 0.5756], [0.3765, 0.8294, 0.2710], [0.1269, 0.3324, 0.7304], [0.4610, 0.1839, 0.2342], [0.2338, 0.9576, 0.4308], [0.1497, 0.5101, 0.3386], [0.8553, 0.4948, 0.6596], [0.0279, 0.0082, 0.9907], [0.6817, 0.0127, 0.3282], [0.3428, 0.0083, 0.6632], [0.4737, 0.5068, 0.0087], [0.5563, 0.6550, 0.7125], [0.2872, 0.1498, 0.9545], [0.9468, 0.1571, 0.2889], [0.7738, 0.3464, 0.9558], [0.6108, 0.1585, 0.6243], [0.4461, 0.3510, 0.2880], [0.2142, 0.6498, 0.0454], [0.3886, 0.8512, 0.3801], [0.1159, 0.3510, 0.6217], [0.0533, 0.8501, 0.7121], [0.7261, 0.8470, 0.0445], [0.8824, 0.6552, 0.3768], [0.8227, 0.5015, 0.1654], [0.5040, 0.5030, 0.5002], [0.9984, 0.0087, 0.4992], [0.1642, 0.4957, 0.8323], [0.3358, 0.9928, 0.1695], [0.6775, 0.0024, 0.8341], [0.8024, 0.6292, 0.8503], [0.3633, 0.1365, 0.4836], [0.2022, 0.3659, 0.1518], [0.2985, 0.8673, 0.8479], [0.5290, 0.3724, 0.8181], [0.6968, 0.1288, 0.1474], [0.6401, 0.8694, 0.5149], [0.9758, 0.8674, 0.1793], [0.1298, 0.6378, 0.5170]]
}